Entry 1:
First-principles (r2SCAN) data for a relaxed Pd3S crystal, as listed in Materials Project.

a b c (Å): 4.553 4.553 6.416
angles (deg): 90.00 90.00 108.03
Atoms (fractional coordinates):
S 0.690 0.693 0.750
S 0.307 0.310 0.250
Pd 0.999 0.001 0.500
Pd 0.539 0.152 0.750
Pd 0.848 0.461 0.250
Pd 0.999 0.001 0.000
Pd 0.150 0.542 0.750
Pd 0.458 0.850 0.250

E ... -19.49 eV per atom
V ... 15.81 Å³/atom


Entry 2:
First-principles (r2SCAN) data for a relaxed Hf3P3Pd4 crystal, as listed in Materials Project.

a b c (Å): 3.777 9.998 16.387
angles (deg): 90.00 90.00 90.00
Atoms (fractional coordinates):
Pd 0.750 0.811 0.325
Pd 0.250 0.617 0.372
Pd 0.750 0.383 0.628
Pd 0.750 0.232 0.294
Pd 0.250 0.189 0.675
Pd 0.250 0.182 0.420
Pd 0.750 0.689 0.825
Pd 0.750 0.117 0.128
Pd 0.250 0.768 0.706
Pd 0.250 0.883 0.872
Pd 0.750 0.268 0.794
Pd 0.250 0.311 0.175
Pd 0.250 0.318 0.920
Pd 0.750 0.818 0.580
Pd 0.750 0.682 0.080
Pd 0.250 0.732 0.206
P 0.750 0.679 0.457
P 0.250 0.390 0.323
P 0.250 0.110 0.823
P 0.750 0.821 0.957
P 0.250 0.966 0.614
P 0.750 0.034 0.386
P 0.250 0.534 0.114
P 0.250 0.321 0.543
P 0.750 0.890 0.177
P 0.750 0.610 0.677
P 0.750 0.466 0.886
P 0.250 0.179 0.043
Hf 0.250 0.588 0.561
Hf 0.750 0.412 0.439
Hf 0.250 0.022 0.261
Hf 0.750 0.088 0.939
Hf 0.750 0.118 0.548
Hf 0.250 0.478 0.761
Hf 0.250 0.912 0.061
Hf 0.750 0.522 0.239
Hf 0.750 0.978 0.739
Hf 0.750 0.382 0.048
Hf 0.250 0.882 0.452
Hf 0.250 0.618 0.952

E ... -26.45 eV per atom
V ... 15.47 Å³/atom


Entry 3:
First-principles (r2SCAN) data for a relaxed SrNb8O14 crystal, as listed in Materials Project.

a b c (Å): 6.001 9.304 10.368
angles (deg): 90.00 90.00 90.00
Atoms (fractional coordinates):
O 0.746 0.005 0.746
O 0.000 0.265 0.320
O 0.254 0.761 0.414
O 0.746 0.995 0.254
O 0.000 0.235 0.820
O 0.254 0.995 0.254
O 0.000 0.500 0.000
O 0.000 0.000 0.500
O 0.500 0.735 0.151
O 0.000 0.765 0.180
O 0.746 0.761 0.414
O 0.254 0.739 0.914
O 0.254 0.505 0.754
O 0.746 0.495 0.246
O 0.746 0.239 0.586
O 0.500 0.235 0.349
O 0.500 0.265 0.849
O 0.000 0.735 0.680
O 0.000 0.500 0.500
O 0.254 0.495 0.246
O 0.000 0.000 0.000
O 0.746 0.505 0.754
O 0.746 0.739 0.914
O 0.746 0.261 0.086
O 0.254 0.239 0.586
O 0.254 0.261 0.086
O 0.254 0.005 0.746
O 0.500 0.765 0.651
Nb 0.731 0.874 0.077
Nb 0.269 0.374 0.423
Nb 0.731 0.374 0.423
Nb 0.731 0.626 0.577
Nb 0.500 0.380 0.664
Nb 0.500 0.120 0.164
Nb 0.000 0.384 0.163
Nb 0.500 0.880 0.836
Nb 0.000 0.616 0.837
Nb 0.269 0.874 0.077
Nb 0.000 0.116 0.663
Nb 0.269 0.626 0.577
Nb 0.269 0.126 0.923
Nb 0.500 0.620 0.336
Nb 0.731 0.126 0.923
Nb 0.000 0.884 0.337
Sr 0.500 0.500 0.000
Sr 0.500 0.000 0.500

E ... -15.55 eV per atom
V ... 12.58 Å³/atom


Entry 4:
First-principles (r2SCAN) data for a relaxed Hg9P5I6 crystal, as listed in Materials Project.

a b c (Å): 12.576 13.289 17.403
angles (deg): 60.15 90.00 90.00
Atoms (fractional coordinates):
I 0.749 0.660 0.954
I 0.282 0.687 0.974
I 0.011 0.706 0.093
I 0.523 0.908 0.939
I 0.489 0.706 0.593
I 0.023 0.092 0.561
I 0.477 0.092 0.061
I 0.751 0.660 0.454
I 0.190 0.387 0.275
I 0.310 0.387 0.775
I 0.511 0.294 0.407
I 0.251 0.340 0.046
I 0.115 0.952 0.193
I 0.782 0.313 0.526
I 0.810 0.613 0.725
I 0.989 0.294 0.907
I 0.718 0.313 0.026
I 0.885 0.048 0.807
I 0.690 0.613 0.225
I 0.615 0.048 0.307
I 0.218 0.687 0.474
I 0.249 0.340 0.546
I 0.977 0.908 0.439
I 0.385 0.952 0.693
Hg 0.228 0.212 0.964
Hg 0.322 0.899 0.312
Hg 0.942 0.443 0.304
Hg 0.177 0.880 0.551
Hg 0.102 0.241 0.737
Hg 0.100 0.126 0.288
Hg 0.024 0.597 0.929
Hg 0.178 0.899 0.812
Hg 0.976 0.403 0.071
Hg 0.000 0.000 0.000
Hg 0.400 0.126 0.788
Hg 0.476 0.597 0.429
Hg 0.000 0.500 0.500
Hg 0.822 0.101 0.188
Hg 0.442 0.557 0.196
Hg 0.772 0.788 0.036
Hg 0.398 0.241 0.237
Hg 0.602 0.759 0.763
Hg 0.728 0.788 0.536
Hg 0.678 0.101 0.688
Hg 0.319 0.648 0.775
Hg 0.500 0.000 0.500
Hg 0.819 0.352 0.725
Hg 0.524 0.403 0.571
Hg 0.677 0.120 0.949
Hg 0.900 0.874 0.712
Hg 0.558 0.443 0.804
Hg 0.600 0.874 0.212
Hg 0.898 0.759 0.263
Hg 0.272 0.212 0.464
Hg 0.681 0.352 0.225
Hg 0.323 0.880 0.051
Hg 0.823 0.120 0.449
Hg 0.181 0.648 0.275
Hg 0.500 0.500 0.000
Hg 0.058 0.557 0.696
P 0.006 0.586 0.341
P 0.063 0.771 0.785
P 0.854 0.285 0.296
P 0.563 0.229 0.715
P 0.308 0.032 0.460
P 0.506 0.414 0.159
P 0.146 0.715 0.704
P 0.354 0.715 0.204
P 0.494 0.586 0.841
P 0.437 0.771 0.285
P 0.994 0.414 0.659
P 0.692 0.968 0.540
P 0.192 0.032 0.960
P 0.286 0.071 0.325
P 0.646 0.285 0.796
P 0.937 0.229 0.215
P 0.714 0.929 0.675
P 0.214 0.071 0.825
P 0.808 0.968 0.040
P 0.786 0.929 0.175

E ... -32.05 eV per atom
V ... 31.53 Å³/atom


Entry 5:
First-principles (r2SCAN) data for a relaxed Li2YbSi crystal, as listed in Materials Project.

a b c (Å): 4.460 4.460 4.460
angles (deg): 60.00 60.00 60.00
Atoms (fractional coordinates):
Si 0.500 0.500 0.500
Li 0.750 0.750 0.750
Li 0.250 0.250 0.250
Yb 0.000 0.000 0.000

E ... -12.77 eV per atom
V ... 15.69 Å³/atom


Entry 6:
First-principles (r2SCAN) data for a relaxed GdGePt crystal, as listed in Materials Project.

a b c (Å): 4.389 7.112 7.605
angles (deg): 90.00 90.00 90.01
Atoms (fractional coordinates):
Pt 0.250 0.705 0.916
Pt 0.250 0.205 0.584
Pt 0.750 0.795 0.416
Pt 0.750 0.295 0.084
Ge 0.750 0.689 0.087
Ge 0.250 0.311 0.913
Ge 0.250 0.811 0.587
Ge 0.750 0.189 0.413
Gd 0.250 0.496 0.295
Gd 0.750 0.003 0.795
Gd 0.750 0.503 0.705
Gd 0.250 0.997 0.205

E ... -37.43 eV per atom
V ... 19.78 Å³/atom


Entry 7:
First-principles (r2SCAN) data for a relaxed Sr3Fe3N5 crystal, as listed in Materials Project.

a b c (Å): 5.725 7.182 8.680
angles (deg): 108.62 104.61 95.70
Atoms (fractional coordinates):
N 0.192 0.769 0.870
N 0.758 0.533 0.911
N 0.796 0.714 0.521
N 0.808 0.231 0.130
N 0.624 0.048 0.383
N 0.242 0.467 0.089
N 0.204 0.286 0.479
N 0.376 0.952 0.617
N 0.932 0.116 0.780
N 0.068 0.884 0.220
Sr 0.668 0.867 0.879
Sr 0.339 0.328 0.793
Sr 0.195 0.582 0.390
Sr 0.661 0.672 0.207
Sr 0.332 0.133 0.121
Sr 0.805 0.418 0.610
Fe 0.690 0.960 0.573
Fe 0.905 0.118 0.296
Fe 0.910 0.327 0.976
Fe 0.095 0.882 0.704
Fe 0.310 0.040 0.427
Fe 0.090 0.673 0.024

E ... -12.77 eV per atom
V ... 14.59 Å³/atom


Entry 8:
First-principles (r2SCAN) data for a relaxed SrIn4Ni crystal, as listed in Materials Project.

a b c (Å): 4.502 7.326 8.861
angles (deg): 90.00 104.72 90.00
Atoms (fractional coordinates):
Sr 0.121 0.750 0.242
Sr 0.879 0.250 0.758
In 0.076 0.250 0.152
In 0.690 0.050 0.380
In 0.310 0.550 0.620
In 0.500 0.500 0.000
In 0.690 0.450 0.380
In 0.500 0.000 0.000
In 0.310 0.950 0.620
In 0.924 0.750 0.848
Ni 0.225 0.250 0.450
Ni 0.775 0.750 0.550

E ... -19.95 eV per atom
V ... 23.56 Å³/atom


In the order shown, the computed energy relative to the elements values come out to -262 -1020 -2656 -216 -254 -1181 -562 -381 meV per atom.